# GdTa3O9 (PBE, optimized geometry)
data_GdTa3O9
_space_group_name_H-M_alt 'P 1'
_space_group_IT_number 1
_cell_length_a 5.587
_cell_length_b 9.706
_cell_length_c 13.697
_cell_angle_alpha 89.62
_cell_angle_beta 90.00
_cell_angle_gamma 89.99
loop_
_space_group_symop_operation_xyz
'x,y,z'
loop_
_atom_site_label
_atom_site_fract_x
_atom_site_fract_y
_atom_site_fract_z
_atom_site_occupancy
Gd1 0.275 0.084 0.918 1
Gd2 0.277 0.426 0.574 1
Gd3 0.723 0.574 0.426 1
Gd4 0.725 0.916 0.082 1
Ta1 0.747 0.916 0.333 1
Ta2 0.754 0.261 0.001 1
Ta3 0.754 0.585 0.674 1
Ta4 0.245 0.084 0.172 1
Ta5 0.252 0.417 0.834 1
Ta6 0.246 0.763 0.501 1
Ta7 0.754 0.237 0.499 1
Ta8 0.748 0.583 0.166 1
Ta9 0.755 0.916 0.828 1
Ta10 0.246 0.415 0.326 1
Ta11 0.246 0.739 0.999 1
Ta12 0.253 0.084 0.667 1
O1 0.730 0.425 0.575 1
O2 0.755 0.751 0.249 1
O3 0.745 0.074 0.926 1
O4 0.255 0.926 0.074 1
O5 0.245 0.249 0.751 1
O6 0.270 0.575 0.425 1
O7 0.513 0.987 0.236 1
O8 0.488 0.311 0.913 1
O9 0.500 0.648 0.574 1
O10 0.500 0.352 0.426 1
O11 0.512 0.689 0.087 1
O12 0.487 0.013 0.764 1
O13 0.000 0.152 0.076 1
O14 0.008 0.492 0.742 1
O15 0.993 0.821 0.415 1
O16 0.992 0.508 0.258 1
O17 0.000 0.848 0.924 1
O18 0.007 0.179 0.585 1
O19 0.743 0.084 0.413 1
O20 0.743 0.420 0.083 1
O21 0.745 0.752 0.748 1
O22 0.255 0.248 0.252 1
O23 0.257 0.580 0.917 1
O24 0.257 0.916 0.587 1
O25 0.010 0.317 0.914 1
O26 0.000 0.643 0.572 1
O27 0.990 0.991 0.240 1
O28 0.500 0.852 0.926 1
O29 0.487 0.185 0.585 1
O30 0.513 0.509 0.261 1
O31 0.990 0.683 0.086 1
O32 0.010 0.009 0.760 1
O33 0.000 0.357 0.428 1
O34 0.487 0.491 0.739 1
O35 0.513 0.815 0.415 1
O36 0.500 0.148 0.074 1
# - energy above the most stable polymorph in this dataset (meV/atom) = 36
# - volume (Å³ per cell) = 742.8
# - space group = P-1, No. 2
# - energy of formation from the pure elements (eV per atom) = -3.472

# Cs2PbO2 (PBE, optimized geometry)
data_Cs2PbO2
_space_group_name_H-M_alt 'P 1'
_space_group_IT_number 1
_cell_length_a 8.030
_cell_length_b 8.345
_cell_length_c 11.165
_cell_angle_alpha 85.07
_cell_angle_beta 109.37
_cell_angle_gamma 118.67
loop_
_space_group_symop_operation_xyz
'x,y,z'
loop_
_atom_site_label
_atom_site_fract_x
_atom_site_fract_y
_atom_site_fract_z
_atom_site_occupancy
Cs1 0.244 0.739 0.507 1
Cs2 0.071 0.062 0.819 1
Cs3 0.936 0.450 0.171 1
Cs4 0.929 0.938 0.181 1
Cs5 0.599 0.568 0.855 1
Cs6 0.064 0.550 0.829 1
Cs7 0.401 0.432 0.145 1
Cs8 0.756 0.261 0.493 1
Pb1 0.598 0.058 0.881 1
Pb2 0.311 0.307 0.527 1
Pb3 0.689 0.693 0.473 1
Pb4 0.402 0.942 0.119 1
O1 0.494 0.183 0.994 1
O2 0.798 0.592 0.361 1
O3 0.918 0.208 0.976 1
O4 0.506 0.817 0.006 1
O5 0.082 0.792 0.024 1
O6 0.202 0.408 0.639 1
O7 0.651 0.486 0.621 1
O8 0.349 0.514 0.379 1
# - volume (Å³ per cell) = 616.9
# - space group = P-1, No. 2
# - energy of formation from the pure elements (eV per atom) = -1.486

# TmBi (PBE, optimized geometry)
data_TmBi
_space_group_name_H-M_alt 'P 1'
_space_group_IT_number 1
_cell_length_a 4.432
_cell_length_b 4.432
_cell_length_c 4.432
_cell_angle_alpha 60.00
_cell_angle_beta 60.00
_cell_angle_gamma 60.00
loop_
_space_group_symop_operation_xyz
'x,y,z'
loop_
_atom_site_label
_atom_site_fract_x
_atom_site_fract_y
_atom_site_fract_z
_atom_site_occupancy
Tm1 0.500 0.500 0.500 1
Bi1 0.000 0.000 0.000 1
# - volume (Å³ per cell) = 61.6
# - space group = Fm-3m, No. 225
# - energy of formation from the pure elements (eV per atom) = -0.773

# BaCaGaBiO6 (PBE, optimized geometry)
data_BaCaGaBiO6
_space_group_name_H-M_alt 'P 1'
_space_group_IT_number 1
_cell_length_a 5.818
_cell_length_b 5.818
_cell_length_c 5.818
_cell_angle_alpha 60.00
_cell_angle_beta 60.00
_cell_angle_gamma 60.00
loop_
_space_group_symop_operation_xyz
'x,y,z'
loop_
_atom_site_label
_atom_site_fract_x
_atom_site_fract_y
_atom_site_fract_z
_atom_site_occupancy
Ba1 0.750 0.750 0.750 1
Ca1 0.250 0.250 0.250 1
Ga1 0.500 0.500 0.500 1
Bi1 0.000 0.000 0.000 1
O1 0.743 0.257 0.257 1
O2 0.257 0.743 0.743 1
O3 0.743 0.257 0.743 1
O4 0.257 0.743 0.257 1
O5 0.743 0.743 0.257 1
O6 0.257 0.257 0.743 1
# - volume (Å³ per cell) = 139.3
# - space group = F-43m, No. 216
# - energy of formation from the pure elements (eV per atom) = -2.262

# Cs2HgAsBr6 (PBE, optimized geometry)
data_Cs2HgAsBr6
_space_group_name_H-M_alt 'P 1'
_space_group_IT_number 1
_cell_length_a 8.016
_cell_length_b 8.016
_cell_length_c 8.016
_cell_angle_alpha 60.00
_cell_angle_beta 60.00
_cell_angle_gamma 60.00
loop_
_space_group_symop_operation_xyz
'x,y,z'
loop_
_atom_site_label
_atom_site_fract_x
_atom_site_fract_y
_atom_site_fract_z
_atom_site_occupancy
Cs1 0.750 0.750 0.750 1
Cs2 0.250 0.250 0.250 1
Hg1 0.500 0.500 0.500 1
As1 0.000 0.000 0.000 1
Br1 0.762 0.238 0.238 1
Br2 0.238 0.238 0.762 1
Br3 0.238 0.762 0.762 1
Br4 0.238 0.762 0.238 1
Br5 0.762 0.238 0.762 1
Br6 0.762 0.762 0.238 1
# - volume (Å³ per cell) = 364.2
# - space group = Fm-3m, No. 225
# - energy of formation from the pure elements (eV per atom) = -1.307

# KAsO3 (PBE, optimized geometry)
data_KAsO3
_space_group_name_H-M_alt 'P 1'
_space_group_IT_number 1
_cell_length_a 3.843
_cell_length_b 3.843
_cell_length_c 3.843
_cell_angle_alpha 90.00
_cell_angle_beta 90.00
_cell_angle_gamma 90.00
loop_
_space_group_symop_operation_xyz
'x,y,z'
loop_
_atom_site_label
_atom_site_fract_x
_atom_site_fract_y
_atom_site_fract_z
_atom_site_occupancy
K1 0.000 0.000 0.000 1
As1 0.500 0.500 0.500 1
O1 0.500 0.500 0.000 1
O2 0.500 0.000 0.500 1
O3 0.000 0.500 0.500 1
# - volume (Å³ per cell) = 56.8
# - space group = Pm-3m, No. 221
# - energy of formation from the pure elements (eV per atom) = -1.516

# NaMgTi3O7F (PBE, optimized geometry)
data_NaMgTi3O7F
_space_group_name_H-M_alt 'P 1'
_space_group_IT_number 1
_cell_length_a 3.750
_cell_length_b 10.813
_cell_length_c 8.905
_cell_angle_alpha 90.00
_cell_angle_beta 90.00
_cell_angle_gamma 90.00
loop_
_space_group_symop_operation_xyz
'x,y,z'
loop_
_atom_site_label
_atom_site_fract_x
_atom_site_fract_y
_atom_site_fract_z
_atom_site_occupancy
Na1 0.750 0.366 0.322 1
Na2 0.750 0.866 0.178 1
Mg1 0.750 0.171 0.566 1
Mg2 0.750 0.671 0.934 1
Ti1 0.250 0.098 0.283 1
Ti2 0.250 0.823 0.486 1
Ti3 0.250 0.323 0.014 1
Ti4 0.250 0.598 0.217 1
Ti5 0.750 0.413 0.754 1
Ti6 0.750 0.913 0.746 1
O1 0.250 0.930 0.299 1
O2 0.250 0.860 0.693 1
O3 0.250 0.666 0.406 1
O4 0.250 0.166 0.094 1
O5 0.250 0.360 0.807 1
O6 0.250 0.430 0.201 1
O7 0.750 0.136 0.321 1
O8 0.750 0.074 0.748 1
O9 0.750 0.366 0.994 1
O10 0.750 0.350 0.569 1
O11 0.750 0.636 0.179 1
O12 0.750 0.574 0.752 1
O13 0.750 0.866 0.506 1
O14 0.750 0.850 0.931 1
F1 0.250 0.645 0.994 1
F2 0.250 0.145 0.506 1
# - volume (Å³ per cell) = 361.1
# - space group = Pmc2_1, No. 26
# - energy of formation from the pure elements (eV per atom) = -3.222

# LiTb2Ir (PBE, optimized geometry)
data_LiTb2Ir
_space_group_name_H-M_alt 'P 1'
_space_group_IT_number 1
_cell_length_a 4.948
_cell_length_b 4.948
_cell_length_c 4.948
_cell_angle_alpha 60.00
_cell_angle_beta 60.00
_cell_angle_gamma 60.00
loop_
_space_group_symop_operation_xyz
'x,y,z'
loop_
_atom_site_label
_atom_site_fract_x
_atom_site_fract_y
_atom_site_fract_z
_atom_site_occupancy
Li1 0.000 0.000 0.000 1
Tb1 0.250 0.250 0.250 1
Tb2 0.750 0.750 0.750 1
Ir1 0.500 0.500 0.500 1
# - volume (Å³ per cell) = 85.6
# - space group = Fm-3m, No. 225
# - energy of formation from the pure elements (eV per atom) = -0.557

Values for electronic total energy, eV/atom, ordered as above
-10.241; -4.291; -4.956; -5.903; -2.644; -5.226; -7.675; -5.561